[1]
# CaU2Si2O16, optimized geometry, DFT PBE
# Total energy in eV/atom: -7.545
# Space group: P2_1/c (14)
data_CaU2Si2O16
_chemical_formula_sum 'Ca4 U8 Si8 O64'
_cell_length_a 14.347
_cell_length_b 6.754
_cell_length_c 14.046
_cell_angle_alpha 88.80
_cell_angle_beta 90.00
_cell_angle_gamma 90.00
_symmetry_space_group_name_H-M 'P 1'
_symmetry_Int_Tables_number 1
_symmetry_space_group_name_Hall 'P 1'
loop_
_atom_site_label
_atom_site_fract_x
_atom_site_fract_y
_atom_site_fract_z
O1 0.585 0.970 0.219
O2 0.119 0.789 0.003
O3 0.282 0.443 0.616
O4 0.245 0.166 0.775
O5 0.743 0.913 0.970
O6 0.971 0.697 0.925
O7 0.041 0.260 0.591
O8 0.545 0.857 0.835
O9 0.619 0.211 0.497
O10 0.385 0.460 0.799
O11 0.471 0.303 0.575
O12 0.415 0.238 0.513
O13 0.633 0.454 0.745
O14 0.723 0.193 0.133
O15 0.745 0.834 0.725
O16 0.955 0.857 0.335
O17 0.415 0.030 0.781
O18 0.381 0.789 0.503
O19 0.218 0.443 0.116
O20 0.115 0.460 0.299
O21 0.455 0.143 0.165
O22 0.133 0.546 0.755
O23 0.230 0.446 0.937
O24 0.946 0.821 0.493
O25 0.257 0.087 0.030
O26 0.755 0.834 0.225
O27 0.459 0.260 0.091
O28 0.718 0.557 0.384
O29 0.367 0.546 0.255
O30 0.029 0.303 0.075
O31 0.885 0.540 0.701
O32 0.730 0.554 0.563
O33 0.054 0.179 0.507
O34 0.915 0.762 0.987
O35 0.554 0.821 0.993
O36 0.446 0.179 0.007
O37 0.368 0.721 0.053
O38 0.541 0.740 0.909
O39 0.045 0.143 0.665
O40 0.915 0.970 0.719
O41 0.218 0.808 0.189
O42 0.282 0.808 0.689
O43 0.223 0.807 0.367
O44 0.085 0.238 0.013
O45 0.270 0.446 0.437
O46 0.770 0.554 0.063
O47 0.959 0.740 0.409
O48 0.085 0.030 0.281
O49 0.243 0.087 0.530
O50 0.585 0.762 0.487
O51 0.255 0.166 0.275
O52 0.632 0.279 0.947
O53 0.777 0.193 0.633
O54 0.132 0.721 0.553
O55 0.868 0.279 0.447
O56 0.881 0.211 0.997
O57 0.615 0.540 0.201
O58 0.757 0.913 0.470
O59 0.782 0.557 0.884
O60 0.718 0.192 0.311
O61 0.529 0.697 0.425
O62 0.867 0.454 0.245
O63 0.277 0.807 0.867
O64 0.782 0.192 0.811
U1 0.243 0.765 0.027
U2 0.258 0.491 0.777
U3 0.242 0.491 0.277
U4 0.742 0.509 0.223
U5 0.758 0.509 0.723
U6 0.257 0.765 0.527
U7 0.757 0.235 0.973
U8 0.743 0.235 0.473
Ca1 0.487 0.747 0.167
Ca2 0.513 0.253 0.833
Ca3 0.013 0.747 0.667
Ca4 0.987 0.253 0.333
Si1 0.807 0.040 0.722
Si2 0.214 0.301 0.027
Si3 0.786 0.699 0.973
Si4 0.714 0.699 0.473
Si5 0.286 0.301 0.527
Si6 0.193 0.960 0.278
Si7 0.693 0.040 0.222
Si8 0.307 0.960 0.778

***

[2]
# LaTcN3, optimized geometry, DFT PBE
# Total energy in eV/atom: -8.659
# Space group: C2/c (15)
data_LaTcN3
_chemical_formula_sum 'La4 Tc4 N12'
_cell_length_a 7.442
_cell_length_b 7.442
_cell_length_c 6.274
_cell_angle_alpha 76.86
_cell_angle_beta 76.86
_cell_angle_gamma 87.09
_symmetry_space_group_name_H-M 'P 1'
_symmetry_Int_Tables_number 1
_symmetry_space_group_name_Hall 'P 1'
loop_
_atom_site_label
_atom_site_fract_x
_atom_site_fract_y
_atom_site_fract_z
N1 0.361 0.331 0.486
N2 0.331 0.361 0.986
N3 0.639 0.669 0.514
N4 0.383 0.857 0.858
N5 0.999 0.768 0.160
N6 0.857 0.383 0.358
N7 0.669 0.639 0.014
N8 0.768 0.999 0.660
N9 0.232 0.001 0.340
N10 0.617 0.143 0.142
N11 0.001 0.232 0.840
N12 0.143 0.617 0.642
Tc1 0.619 0.798 0.750
Tc2 0.381 0.202 0.250
Tc3 0.798 0.619 0.250
Tc4 0.202 0.381 0.750
La1 0.095 0.905 0.750
La2 0.905 0.095 0.250
La3 0.322 0.678 0.250
La4 0.678 0.322 0.750

***

[3]
# SiTePt, optimized geometry, DFT PBE
# Total energy in eV/atom: -5.419
# Space group: Pbca (61)
data_SiTePt
_chemical_formula_sum 'Si8 Te8 Pt8'
_cell_length_a 6.223
_cell_length_b 6.321
_cell_length_c 12.632
_cell_angle_alpha 90.00
_cell_angle_beta 90.00
_cell_angle_gamma 90.00
_symmetry_space_group_name_H-M 'P 1'
_symmetry_Int_Tables_number 1
_symmetry_space_group_name_Hall 'P 1'
loop_
_atom_site_label
_atom_site_fract_x
_atom_site_fract_y
_atom_site_fract_z
Si1 0.871 0.333 0.439
Si2 0.371 0.333 0.061
Si3 0.629 0.667 0.939
Si4 0.629 0.833 0.439
Si5 0.129 0.833 0.061
Si6 0.371 0.167 0.561
Si7 0.871 0.167 0.939
Si8 0.129 0.667 0.561
Pt1 0.025 0.313 0.614
Pt2 0.975 0.687 0.386
Pt3 0.525 0.313 0.886
Pt4 0.975 0.813 0.886
Pt5 0.475 0.813 0.614
Pt6 0.525 0.187 0.386
Pt7 0.475 0.687 0.114
Pt8 0.025 0.187 0.114
Te1 0.383 0.916 0.825
Te2 0.883 0.916 0.675
Te3 0.117 0.416 0.825
Te4 0.617 0.084 0.175
Te5 0.383 0.584 0.325
Te6 0.617 0.416 0.675
Te7 0.883 0.584 0.175
Te8 0.117 0.084 0.325

***

| no. | formation energy from the elements (eV/atom) |
| --- | --- |
| 1 | -2.09 |
| 2 | -0.81 |
| 3 | -0.54 |